# 1
Mn2FeN2: optimized geometry, GGA-PBE.

Cell: 4.469 6.206 5.271 Å, 90.00 90.00 133.98°
Element x y z (fractional)
Mn: 0.371 0.029 0.828
Mn: 0.629 0.658 0.828
Mn: 0.629 0.971 0.328
Mn: 0.371 0.342 0.328
Fe: 0.000 0.530 0.610
Fe: 0.000 0.470 0.110
N: 0.445 0.121 0.164
N: 0.555 0.676 0.164
N: 0.555 0.879 0.664
N: 0.445 0.324 0.664

**Space group**: Cmc2_1
**Total moment**: 0.239 μB/atom
**Energy of formation from the pure elements**: -75 kJ/mol of formula units
**Distance to the lowest polymorph of the same formula**: 0.78 eV per formula unit

***

# 2
NaTmTl2: optimized geometry, GGA-PBE.

Cell: 5.331 5.331 5.331 Å, 60.00 60.00 60.00°
Element x y z (fractional)
Na: 0.500 0.500 0.500
Tm: 0.000 0.000 0.000
Tl: 0.250 0.250 0.250
Tl: 0.750 0.750 0.750

**Space group**: Fm-3m
**Energy of formation from the pure elements**: -81 kJ/mol of formula units